Record 1
# Li6MnV3P6O24 GGA+U relaxed
data_Li6MnV3P6O24
_space_group_name_H-M_alt 'P 1'
_space_group_IT_number 1
_cell_length_a 8.456
_cell_length_b 8.998
_cell_length_c 14.576
_cell_angle_alpha 74.44
_cell_angle_beta 89.74
_cell_angle_gamma 61.99
loop_
_space_group_symop_operation_xyz
'x,y,z'
loop_
_atom_site_label
_atom_site_type_symbol
_atom_site_fract_x
_atom_site_fract_y
_atom_site_fract_z
Li1 Li 0.000 0.000 0.000
Li2 Li 0.007 0.300 0.163
Li3 Li 0.028 0.998 0.371
Li4 Li 0.049 0.299 0.464
Li5 Li 0.458 0.998 0.199
Li6 Li 0.479 0.299 0.293
Li7 Li 0.500 0.998 0.501
Li8 Li 0.507 0.300 0.664
Li9 Li 0.528 0.998 0.871
Li10 Li 0.548 0.300 0.963
Li11 Li 0.959 0.997 0.700
Li12 Li 0.977 0.300 0.794
Mn1 Mn 0.275 0.106 0.006
Mn2 Mn 0.536 0.587 0.760
V1 V 0.034 0.589 0.257
V2 V 0.230 0.195 0.658
V3 V 0.472 0.712 0.406
V4 V 0.731 0.195 0.157
V5 V 0.776 0.103 0.507
V6 V 0.972 0.710 0.904
P1 P 0.169 0.898 0.206
P2 P 0.232 0.898 0.562
P3 P 0.236 0.896 0.852
P4 P 0.274 0.400 0.102
P5 P 0.275 0.398 0.811
P6 P 0.337 0.400 0.457
P7 P 0.670 0.899 0.707
P8 P 0.734 0.899 0.352
P9 P 0.735 0.897 0.063
P10 P 0.773 0.399 0.311
P11 P 0.773 0.400 0.603
P12 P 0.836 0.399 0.957
O1 O 0.008 0.248 0.934
O2 O 0.030 0.959 0.577
O3 O 0.077 0.879 0.900
O4 O 0.135 0.571 0.829
O5 O 0.139 0.050 0.753
O6 O 0.145 0.570 0.025
O7 O 0.160 0.726 0.234
O8 O 0.175 0.341 0.749
O9 O 0.179 0.416 0.393
O10 O 0.187 0.953 0.099
O11 O 0.233 0.246 0.103
O12 O 0.249 0.417 0.205
O13 O 0.255 0.885 0.457
O14 O 0.274 0.052 0.563
O15 O 0.319 0.341 0.565
O16 O 0.328 0.881 0.270
O17 O 0.331 0.953 0.915
O18 O 0.345 0.571 0.431
O19 O 0.358 0.728 0.636
O20 O 0.371 0.246 0.909
O21 O 0.371 0.725 0.835
O22 O 0.430 0.413 0.762
O23 O 0.474 0.341 0.086
O24 O 0.492 0.052 0.727
O25 O 0.514 0.247 0.436
O26 O 0.540 0.950 0.082
O27 O 0.577 0.883 0.401
O28 O 0.637 0.571 0.330
O29 O 0.639 0.051 0.254
O30 O 0.644 0.571 0.524
O31 O 0.665 0.728 0.732
O32 O 0.676 0.414 0.898
O33 O 0.677 0.342 0.249
O34 O 0.687 0.958 0.598
O35 O 0.730 0.248 0.600
O36 O 0.749 0.417 0.705
O37 O 0.759 0.880 0.960
O38 O 0.779 0.049 0.064
O39 O 0.821 0.342 0.067
O40 O 0.828 0.885 0.769
O41 O 0.830 0.956 0.415
O42 O 0.847 0.571 0.931
O43 O 0.868 0.247 0.410
O44 O 0.868 0.724 0.140
O45 O 0.870 0.727 0.334
O46 O 0.930 0.415 0.263
O47 O 0.973 0.343 0.586
O48 O 0.992 0.051 0.228
# calculated formation energy = -2.680 eV/atom
# offset from the most stable computed form = 0.007 eV/atom
# calculated volume = 11.67 Å³/atom


Record 2
# Li3MnVP3O12 GGA+U relaxed
data_Li3MnVP3O12
_space_group_name_H-M_alt 'P -1'
_space_group_IT_number 2
_cell_length_a 8.506
_cell_length_b 8.506
_cell_length_c 8.711
_cell_angle_alpha 61.85
_cell_angle_beta 62.42
_cell_angle_gamma 62.98
loop_
_space_group_symop_operation_xyz
'x,y,z'
'-x,-y,-z'
loop_
_atom_site_label
_atom_site_type_symbol
_atom_site_fract_x
_atom_site_fract_y
_atom_site_fract_z
Li1 Li 0.000 0.000 0.000
Li2 Li 0.137 0.741 0.348
Li3 Li 0.272 0.628 0.844
Li4 Li 0.500 0.500 0.500
Mn1 Mn 0.360 0.353 0.356
V1 V 0.147 0.140 0.151
P1 P 0.051 0.448 0.753
P2 P 0.247 0.943 0.540
P3 P 0.446 0.756 0.036
O1 O 0.004 0.379 0.190
O2 O 0.074 0.266 0.923
O3 O 0.082 0.941 0.731
O4 O 0.106 0.546 0.293
O5 O 0.176 0.972 0.389
O6 O 0.232 0.455 0.591
O7 O 0.255 0.912 0.078
O8 O 0.314 0.103 0.487
O9 O 0.383 0.173 0.045
O10 O 0.384 0.745 0.576
O11 O 0.441 0.695 0.899
O12 O 0.460 0.601 0.221
# calculated formation energy = -2.611 eV/atom
# offset from the most stable computed form = 0.045 eV/atom
# calculated volume = 11.74 Å³/atom